Entry 1:
# Nb2Tl4Se11 | the Materials Project database | GGA-PBE | relaxed
# Crystal system   triclinic
# Energy relative to the elements   -0.792 eV per atom
# Volume   1026 Å³ per cell
data_Nb2Tl4Se11
_space_group_name_H-M_alt 'P -1'
_space_group_IT_number 2
_cell_length_a 8.1833
_cell_length_b 9.3555
_cell_length_c 14.0641
_cell_angle_alpha 72.93
_cell_angle_beta 89.24
_cell_angle_gamma 85.67
loop_
_space_group_symop_operation_xyz
'x,y,z'
'-x,-y,-z'
loop_
_atom_site_label
_atom_site_fract_x
_atom_site_fract_y
_atom_site_fract_z
_atom_site_occupancy
Nb1 0.1217 0.3669 0.3039 1
Nb2 0.3376 0.1075 0.1884 1
Tl1 0.0524 0.7609 0.9820 1
Tl2 0.2122 0.9754 0.5714 1
Tl3 0.2417 0.4169 0.5818 1
Tl4 0.4906 0.7198 0.1150 1
Se1 0.0169 0.7098 0.5334 1
Se2 0.0302 0.1317 0.2495 1
Se3 0.0522 0.6569 0.2479 1
Se4 0.1200 0.4931 0.8147 1
Se5 0.2638 0.3998 0.1112 1
Se6 0.2732 0.0363 0.0399 1
Se7 0.3497 0.8570 0.3335 1
Se8 0.3911 0.1824 0.3719 1
Se9 0.3984 0.0779 0.7510 1
Se10 0.3976 0.4463 0.3516 1
Se11 0.4541 0.6922 0.8804 1

=====

Entry 2:
# Nb6TlSe8 | the Materials Project database | GGA-PBE | relaxed
# Crystal system   trigonal
# Energy relative to the elements   -1.058 eV per atom
# Volume   316 Å³ per cell
data_Nb6TlSe8
_space_group_name_H-M_alt 'P -3'
_space_group_IT_number 147
_cell_length_a 10.2136
_cell_length_b 10.2136
_cell_length_c 3.5030
_cell_angle_alpha 90.00
_cell_angle_beta 90.00
_cell_angle_gamma 120.00
loop_
_space_group_symop_operation_xyz
'x,y,z'
'-x,-y,-z'
'-y,x-y,z'
'y,-x+y,-z'
'-x+y,-x,z'
'x-y,x,-z'
loop_
_atom_site_label
_atom_site_fract_x
_atom_site_fract_y
_atom_site_fract_z
_atom_site_occupancy
Nb1 0.1063 0.6186 0.2511 1
Tl1 0.0000 0.0000 0.5000 1
Se1 0.0600 0.3414 0.2472 1
Se2 0.3333 0.6667 0.7502 1

=====

Entry 3:
# Nb9TlSe12 | the Materials Project database | GGA-PBE | relaxed
# Crystal system   trigonal
# Energy relative to the elements   -1.093 eV per atom
# Volume   2831 Å³ per cell
data_Nb9TlSe12
_space_group_name_H-M_alt 'R -3'
_space_group_IT_number 148
_space_group_name_Hall '-R 3'
_cell_length_a 17.6389
_cell_length_b 17.6389
_cell_length_c 10.5080
_cell_angle_alpha 90.00
_cell_angle_beta 90.00
_cell_angle_gamma 120.00
loop_
_atom_site_label
_atom_site_fract_x
_atom_site_fract_y
_atom_site_fract_z
_atom_site_occupancy
Nb1 0.0433 0.4685 0.0833 1
Nb2 0.0438 0.4683 0.4163 1
Nb3 0.0438 0.4686 0.7504 1
Tl1 0.0000 0.0000 0.0000 1
Tl2 0.0000 0.0000 0.5000 1
Se1 0.0000 0.3334 0.2498 1
Se2 0.0738 0.8664 0.5839 1
Se3 0.0740 0.8663 0.9159 1
Se4 0.0736 0.8668 0.2502 1